No. 1
## Al79Fe26Si18 (GGA-PBE)

Data for a relaxed structure of Al79Fe26Si18.

Calculated values
SG: P-1 (2)
corrected total energy (MP2020 scheme): -0.195 hartree per atom
energy of formation: -0.30 eV per atom
magnetization: 0.14 μB per formula unit

a = 8.801 Å, b = 8.806 Å, c = 24.494 Å
α = 82.90°, β = 82.92°, γ = 70.89°
Element x y z (fractional)
Al 0.000 0.000 0.000
Al 0.003 0.884 0.896
Al 0.008 0.701 0.055
Al 0.095 0.599 0.698
Al 0.104 0.314 0.744
Al 0.107 0.497 0.597
Al 0.116 0.202 0.647
Al 0.126 0.905 0.416
Al 0.131 0.047 0.310
Al 0.141 0.354 0.108
Al 0.147 0.772 0.784
Al 0.153 0.153 0.462
Al 0.164 0.448 0.480
Al 0.165 0.735 0.514
Al 0.169 0.598 0.155
Al 0.171 0.882 0.187
Al 0.180 0.179 0.205
Al 0.190 0.559 0.880
Al 0.192 0.983 0.560
Al 0.202 0.287 0.357
Al 0.208 0.427 0.251
Al 0.224 0.141 0.021
Al 0.237 0.825 0.074
Al 0.243 0.022 0.917
Al 0.254 0.725 0.966
Al 0.326 0.619 0.616
Al 0.329 0.443 0.765
Al 0.338 0.223 0.568
Al 0.341 0.047 0.716
Al 0.427 0.931 0.365
Al 0.438 0.646 0.412
Al 0.441 0.830 0.263
Al 0.449 0.536 0.314
Al 0.457 0.239 0.084
Al 0.465 0.377 0.977
Al 0.475 0.684 0.774
Al 0.478 0.106 0.452
Al 0.486 0.487 0.128
Al 0.498 0.067 0.182
Al 0.500 0.217 0.851
Al 0.500 0.783 0.149
Al 0.502 0.933 0.818
Al 0.514 0.513 0.872
Al 0.522 0.894 0.548
Al 0.525 0.316 0.226
Al 0.535 0.623 0.023
Al 0.543 0.761 0.916
Al 0.551 0.464 0.686
Al 0.559 0.170 0.737
Al 0.562 0.354 0.588
Al 0.573 0.069 0.635
Al 0.659 0.953 0.284
Al 0.662 0.777 0.432
Al 0.671 0.557 0.235
Al 0.674 0.381 0.384
Al 0.746 0.275 0.034
Al 0.757 0.978 0.083
Al 0.763 0.175 0.926
Al 0.776 0.859 0.979
Al 0.792 0.573 0.749
Al 0.798 0.713 0.643
Al 0.808 0.017 0.440
Al 0.810 0.441 0.120
Al 0.820 0.821 0.795
Al 0.829 0.118 0.813
Al 0.831 0.402 0.845
Al 0.835 0.265 0.486
Al 0.836 0.552 0.520
Al 0.847 0.847 0.538
Al 0.853 0.228 0.216
Al 0.859 0.646 0.892
Al 0.869 0.953 0.690
Al 0.874 0.095 0.584
Al 0.884 0.798 0.353
Al 0.893 0.503 0.403
Al 0.896 0.686 0.256
Al 0.905 0.401 0.302
Al 0.992 0.299 0.945
Al 0.997 0.116 0.104
Fe 0.034 0.539 0.802
Fe 0.041 0.284 0.553
Fe 0.046 0.793 0.612
Fe 0.056 0.058 0.736
Fe 0.275 0.276 0.931
Fe 0.287 0.539 0.054
Fe 0.292 0.049 0.114
Fe 0.298 0.793 0.864
Fe 0.333 0.333 0.667
Fe 0.368 0.874 0.468
Fe 0.375 0.616 0.219
Fe 0.378 0.127 0.279
Fe 0.391 0.390 0.402
Fe 0.609 0.610 0.598
Fe 0.622 0.873 0.721
Fe 0.625 0.384 0.781
Fe 0.632 0.126 0.532
Fe 0.667 0.667 0.333
Fe 0.702 0.207 0.136
Fe 0.708 0.951 0.886
Fe 0.713 0.461 0.946
Fe 0.725 0.724 0.069
Fe 0.944 0.942 0.264
Fe 0.954 0.207 0.388
Fe 0.959 0.716 0.447
Fe 0.966 0.461 0.198
Si 0.147 0.462 0.993
Si 0.164 0.040 0.816
Si 0.167 0.731 0.286
Si 0.168 0.601 0.381
Si 0.174 0.292 0.847
Si 0.184 0.876 0.673
Si 0.483 0.791 0.661
Si 0.498 0.931 0.047
Si 0.499 0.372 0.484
Si 0.501 0.628 0.516
Si 0.502 0.069 0.953
Si 0.517 0.209 0.339
Si 0.816 0.124 0.327
Si 0.826 0.708 0.153
Si 0.832 0.399 0.619
Si 0.833 0.269 0.714
Si 0.836 0.960 0.184
Si 0.853 0.538 0.007

***

No. 2
## SiC (GGA-PBE)

Data for a relaxed structure of SiC.

Calculated values
piezoelectric modulus e_max: 0.1 C/m²
SG: P6_3mc (186)
energy of formation: -0.20 eV per atom
excess energy over the best structure of this formula in the dataset: 0.2 meV/atom

a = 3.095 Å, b = 3.095 Å, c = 15.185 Å
α = 90.00°, β = 90.00°, γ = 120.00°
Element x y z (fractional)
Si 0.000 0.000 0.000
Si 0.000 0.000 0.500
Si 0.333 0.667 0.167
Si 0.333 0.667 0.833
Si 0.667 0.333 0.333
Si 0.667 0.333 0.667
C 0.000 0.000 0.375
C 0.000 0.000 0.875
C 0.333 0.667 0.042
C 0.333 0.667 0.708
C 0.667 0.333 0.208
C 0.667 0.333 0.542

***

No. 3
## Mg6TiC (GGA-PBE)

Data for a relaxed structure of Mg6TiC.

Calculated values
SG: Amm2 (38)
energy of formation: 0.18 eV per atom
magnetization: 0.00 μB per formula unit
excess energy over the best structure of this formula in the dataset: 0.0 meV/atom

a = 3.215 Å, b = 7.125 Å, c = 7.125 Å
α = 85.62°, β = 90.00°, γ = 90.00°
Element x y z (fractional)
Mg 0.000 0.000 0.000
Mg 0.000 0.117 0.430
Mg 0.000 0.430 0.117
Mg 0.500 0.282 0.772
Mg 0.500 0.753 0.753
Mg 0.500 0.772 0.282
Ti 0.000 0.504 0.504
C 0.500 0.386 0.386

***

No. 4
## LuSnRh (GGA-PBE)

Data for a relaxed structure of LuSnRh.

Calculated values
SG: P-62m (189)
energy of formation: -0.90 eV per atom

a = 7.622 Å, b = 7.622 Å, c = 3.661 Å
α = 90.00°, β = 90.00°, γ = 120.00°
Element x y z (fractional)
Lu 0.000 0.598 0.000
Lu 0.402 0.402 0.000
Lu 0.598 0.000 0.000
Sn 0.000 0.267 0.500
Sn 0.267 0.000 0.500
Sn 0.733 0.733 0.500
Rh 0.000 0.000 0.000
Rh 0.333 0.667 0.500
Rh 0.667 0.333 0.500

***

No. 5
## K2LaTa5O15 (GGA-PBE)

Data for a relaxed structure of K2LaTa5O15.

Calculated values
SG: P4/mbm (127)
corrected total energy (MP2020 scheme): -0.349 hartree per atom
energy of formation: -3.37 eV per atom
magnetization: 0.00 μB per formula unit

a = 12.715 Å, b = 12.715 Å, c = 3.953 Å
α = 90.00°, β = 90.00°, γ = 90.00°
Element x y z (fractional)
K 0.171 0.329 0.000
K 0.329 0.829 0.000
K 0.671 0.171 0.000
K 0.829 0.671 0.000
La 0.000 0.000 0.000
La 0.500 0.500 0.000
Ta 0.000 0.500 0.500
Ta 0.075 0.785 0.500
Ta 0.215 0.075 0.500
Ta 0.285 0.575 0.500
Ta 0.425 0.285 0.500
Ta 0.500 0.000 0.500
Ta 0.575 0.715 0.500
Ta 0.715 0.425 0.500
Ta 0.785 0.925 0.500
Ta 0.925 0.215 0.500
O 0.000 0.500 0.000
O 0.003 0.343 0.500
O 0.063 0.133 0.500
O 0.075 0.804 0.000
O 0.133 0.937 0.500
O 0.157 0.497 0.500
O 0.196 0.075 0.000
O 0.215 0.715 0.500
O 0.285 0.215 0.500
O 0.304 0.575 0.000
O 0.343 0.997 0.500
O 0.367 0.437 0.500
O 0.425 0.304 0.000
O 0.437 0.633 0.500
O 0.497 0.843 0.500
O 0.500 0.000 0.000
O 0.503 0.157 0.500
O 0.563 0.367 0.500
O 0.575 0.696 0.000
O 0.633 0.563 0.500
O 0.657 0.003 0.500
O 0.696 0.425 0.000
O 0.715 0.785 0.500
O 0.785 0.285 0.500
O 0.804 0.925 0.000
O 0.843 0.503 0.500
O 0.867 0.063 0.500
O 0.925 0.196 0.000
O 0.937 0.867 0.500
O 0.997 0.657 0.500

***

No. 6
## Li2MnBr4 (GGA-PBE)

Data for a relaxed structure of Li2MnBr4.

Calculated values
piezoelectric modulus e_max: 4.3 C/m²
SG: Imm2 (44)
corrected total energy (MP2020 scheme): -0.158 hartree per atom
energy of formation: -1.50 eV per atom
magnetization: 5.00 μB per formula unit
excess energy over the best structure of this formula in the dataset: 38.5 meV/atom

a = 6.730 Å, b = 6.730 Å, c = 6.730 Å
α = 131.44°, β = 71.15°, γ = 131.39°
Element x y z (fractional)
Li 0.248 0.000 0.248
Li 0.752 0.000 0.752
Mn 0.487 0.487 0.000
Br 0.261 0.499 0.762
Br 0.496 0.996 0.500
Br 0.737 0.499 0.238
Br 0.997 0.997 0.000

***

No. 7
## Rb2GaAuI6 (GGA-PBE)

Data for a relaxed structure of Rb2GaAuI6.

Calculated values
SG: Fm-3m (225)
corrected total energy (MP2020 scheme): -0.099 hartree per atom
energy of formation: -0.95 eV per atom
magnetization: 0.00 μB per formula unit

a = 8.273 Å, b = 8.273 Å, c = 8.273 Å
α = 60.00°, β = 60.00°, γ = 60.00°
Element x y z (fractional)
Rb 0.250 0.250 0.250
Rb 0.750 0.750 0.750
Ga 0.000 0.000 0.000
Au 0.500 0.500 0.500
I 0.248 0.248 0.752
I 0.248 0.752 0.248
I 0.248 0.752 0.752
I 0.752 0.248 0.248
I 0.752 0.248 0.752
I 0.752 0.752 0.248

***

No. 8
## Cs2ZnFeC6N6 (GGA-PBE)

Data for a relaxed structure of Cs2ZnFeC6N6.

Calculated values
SG: Fm-3m (225)
corrected total energy (MP2020 scheme): -0.279 hartree per atom
energy of formation: -0.28 eV per atom
magnetization: 0.00 μB per formula unit

a = 7.391 Å, b = 7.391 Å, c = 7.391 Å
α = 60.00°, β = 60.00°, γ = 60.00°
Element x y z (fractional)
Cs 0.250 0.250 0.250
Cs 0.750 0.750 0.750
Zn 0.000 0.000 0.000
Fe 0.500 0.500 0.500
C 0.320 0.320 0.680
C 0.320 0.680 0.320
C 0.320 0.680 0.680
C 0.680 0.320 0.320
C 0.680 0.320 0.680
C 0.680 0.680 0.320
N 0.207 0.207 0.793
N 0.207 0.793 0.207
N 0.207 0.793 0.793
N 0.793 0.207 0.207
N 0.793 0.207 0.793
N 0.793 0.793 0.207